Record 1
! Fe3P4PbO14 (GGA+U, optimized geometry); values from VASP
! * energy relative to the elements: -2.402 eV per atom
! * calculated density: 4.4 g cm⁻³
! * MP2020-corrected energy: -345.8 eV per cell
! * VASP energy: -313.0 eV per cell
&SYSTEM
  ibrav = 0, nat = 44, ntyp = 4
/
ATOMIC_SPECIES
O 16.00 O.upf
P 30.97 P.upf
Fe 55.84 Fe.upf
Pb 207.20 Pb.upf
CELL_PARAMETERS angstrom
-2.3148 -6.1766 -4.3221
6.3423 0.5983 -4.2517
7.3301 -5.2705 3.6062
ATOMIC_POSITIONS crystal
O 0.4822 0.9041 0.3084
O 0.4218 0.5289 0.6149
O 0.3852 0.2274 0.1379
O 0.7866 0.4980 0.6374
O 0.1259 0.6559 0.6135
O 0.8712 0.1836 0.8209
O 0.3741 0.6559 0.1135
O 0.6288 0.1836 0.3209
O 0.5178 0.0959 0.6916
O 0.6766 0.8774 0.5849
O 0.3234 0.1226 0.4151
O 0.1288 0.8164 0.1791
O 0.2134 0.5020 0.3626
O 0.9218 0.4711 0.8851
O 0.2866 0.5020 0.8626
O 0.7134 0.4980 0.1374
O 0.0782 0.5289 0.1149
O 0.5782 0.4711 0.3851
O 0.9822 0.0959 0.1916
O 0.1148 0.2274 0.6379
O 0.8852 0.7726 0.3621
O 0.6259 0.3441 0.8865
O 0.8741 0.3441 0.3865
O 0.0178 0.9041 0.8084
O 0.1766 0.1226 0.9151
O 0.3712 0.8164 0.6791
O 0.6148 0.7726 0.8621
O 0.8234 0.8774 0.0849
P 0.7970 0.3871 0.8057
P 0.9440 0.8953 0.2015
P 0.5560 0.8953 0.7015
P 0.4440 0.1047 0.2985
P 0.2970 0.6129 0.6943
P 0.7030 0.3871 0.3057
P 0.2030 0.6129 0.1943
P 0.0560 0.1047 0.7985
Fe 0.1225 0.3123 0.0293
Fe 0.8775 0.6877 0.9707
Fe 0.5000 0.5000 0.0000
Fe 0.0000 0.5000 0.5000
Fe 0.6225 0.6877 0.4707
Fe 0.3775 0.3123 0.5293
Pb 0.0000 0.0000 0.5000
Pb 0.5000 0.0000 0.0000

Record 2
! Mn3Se4O12 (GGA+U, optimized geometry); values from VASP
! * energy relative to the elements: -1.519 eV per atom
! * calculated density: 3.8 g cm⁻³
! * MP2020-corrected energy: -259.4 eV per cell
! * VASP energy: -232.9 eV per cell
&SYSTEM
  ibrav = 0, nat = 38, ntyp = 3
/
ATOMIC_SPECIES
O 16.00 O.upf
Se 78.96 Se.upf
Mn 54.94 Mn.upf
CELL_PARAMETERS angstrom
3.3889 -5.8809 3.5656
-6.9846 -2.1574 -4.3364
7.9003 -0.0414 -6.8816
ATOMIC_POSITIONS crystal
O 0.7680 0.0463 0.0376
O 0.9356 0.4110 0.1501
O 0.7839 0.9816 0.6442
O 0.0644 0.5890 0.8499
O 0.8529 0.7522 0.3405
O 0.4516 0.4860 0.8447
O 0.2093 0.6336 0.5932
O 0.1884 0.6643 0.3500
O 0.7455 0.2648 0.8985
O 0.1062 0.8744 0.5789
O 0.1188 0.1632 0.1773
O 0.8812 0.8368 0.8227
O 0.8116 0.3357 0.6500
O 0.1146 0.2384 0.8973
O 0.6857 0.6283 0.6070
O 0.2161 0.0184 0.3558
O 0.3143 0.3717 0.3930
O 0.2320 0.9537 0.9624
O 0.5484 0.5140 0.1553
O 0.8854 0.7616 0.1027
O 0.7907 0.3664 0.4068
O 0.8938 0.1256 0.4211
O 0.1471 0.2478 0.6595
O 0.2545 0.7352 0.1015
Se 0.7192 0.2056 0.4849
Se 0.6857 0.7302 0.2053
Se 0.3143 0.2698 0.7947
Se 0.2702 0.7582 0.9422
Se 0.3194 0.1908 0.2783
Se 0.6806 0.8092 0.7217
Se 0.2808 0.7944 0.5151
Se 0.7298 0.2418 0.0578
Mn 0.0526 0.7252 0.2197
Mn 0.0560 0.3749 0.3198
Mn 0.0000 0.0000 0.0000
Mn 0.9440 0.6251 0.6802
Mn 0.9474 0.2748 0.7803
Mn 0.0000 0.0000 0.5000

Record 3
! Mn5Cr4O12 (GGA+U, optimized geometry); values from VASP
! * energy relative to the elements: -2.226 eV per atom
! * calculated density: 4.7 g cm⁻³
! * MP2020-corrected energy: -381.1 eV per cell
! * VASP energy: -331.9 eV per cell
&SYSTEM
  ibrav = 0, nat = 42, ntyp = 3
/
ATOMIC_SPECIES
O 16.00 O.upf
Mn 54.94 Mn.upf
Cr 52.00 Cr.upf
CELL_PARAMETERS angstrom
-3.7760 3.0591 3.6429
-4.5203 -3.7225 -1.6681
7.0796 -7.7021 8.8269
ATOMIC_POSITIONS crystal
O 0.2118 0.7541 0.4913
O 0.4148 0.8848 0.3243
O 0.7527 0.7819 0.9937
O 0.0799 0.5517 0.6567
O 0.5543 0.5800 0.1753
O 0.2409 0.2725 0.5116
O 0.4084 0.4430 0.3269
O 0.7591 0.7275 0.4884
O 0.8946 0.3986 0.8212
O 0.4457 0.4200 0.8247
O 0.5852 0.1152 0.6757
O 0.9201 0.4483 0.3433
O 0.1054 0.6014 0.1788
O 0.0819 0.1076 0.6580
O 0.5624 0.0666 0.1550
O 0.2473 0.2181 0.0063
O 0.7882 0.2459 0.5087
O 0.2574 0.7763 0.0113
O 0.4376 0.9334 0.8450
O 0.9181 0.8924 0.3420
O 0.5916 0.5570 0.6731
O 0.7426 0.2237 0.9887
O 0.1217 0.0879 0.1659
O 0.8783 0.9121 0.8341
Mn 0.0000 0.0000 0.5000
Mn 0.0000 0.0000 0.0000
Mn 0.3345 0.3325 0.1689
Mn 0.5383 0.7912 0.5831
Mn 0.2101 0.4555 0.9162
Mn 0.1223 0.8750 0.7490
Mn 0.7899 0.5445 0.0838
Mn 0.6655 0.6675 0.8311
Mn 0.4617 0.2088 0.4169
Mn 0.8777 0.1250 0.2510
Cr 0.5000 0.0000 0.0000
Cr 0.3354 0.8336 0.1680
Cr 0.3350 0.3356 0.6654
Cr 0.8358 0.3310 0.6667
Cr 0.6646 0.1664 0.8320
Cr 0.6650 0.6644 0.3346
Cr 0.0000 0.5000 0.5000
Cr 0.1642 0.6690 0.3333

Record 4
! Rb3VS2O10 (GGA+U, optimized geometry); values from VASP
! * energy relative to the elements: -2.232 eV per atom
! * calculated density: 3.0 g cm⁻³
! * MP2020-corrected energy: -421.9 eV per cell
! * VASP energy: -387.7 eV per cell
&SYSTEM
  ibrav = 0, nat = 64, ntyp = 4
/
ATOMIC_SPECIES
O 16.00 O.upf
S 32.06 S.upf
Rb 85.47 Rb.upf
V 50.94 V.upf
CELL_PARAMETERS angstrom
8.5677 0.0000 0.0000
0.0000 11.8099 0.0000
0.0000 4.1208 11.5975
ATOMIC_POSITIONS crystal
O 0.5254 0.6800 0.3403
O 0.1920 0.5922 0.9428
O 0.5668 0.5888 0.5857
O 0.3926 0.8522 0.8768
O 0.3472 0.1472 0.2109
O 0.6528 0.1472 0.7109
O 0.6074 0.8522 0.3768
O 0.9714 0.3578 0.3671
O 0.4177 0.1375 0.8263
O 0.7968 0.7634 0.5528
O 0.1920 0.4078 0.5572
O 0.9531 0.8081 0.9485
O 0.3472 0.8528 0.2891
O 0.5668 0.4112 0.9143
O 0.5823 0.1375 0.3263
O 0.6528 0.8528 0.7891
O 0.0469 0.8081 0.4485
O 0.4332 0.4112 0.4143
O 0.6074 0.1478 0.1232
O 0.4746 0.3200 0.6597
O 0.2032 0.2366 0.4472
O 0.4332 0.5888 0.0857
O 0.0286 0.6422 0.6329
O 0.0286 0.3578 0.8671
O 0.8080 0.4078 0.0572
O 0.2032 0.7634 0.0528
O 0.4177 0.8625 0.6737
O 0.5254 0.3200 0.1597
O 0.4746 0.6800 0.8403
O 0.3926 0.1478 0.6232
O 0.8080 0.5922 0.4428
O 0.0051 0.8518 0.6268
O 0.9949 0.8518 0.1268
O 0.5823 0.8625 0.1737
O 0.7968 0.2366 0.9472
O 0.9949 0.1482 0.3732
O 0.0469 0.1919 0.0515
O 0.0051 0.1482 0.8732
O 0.9714 0.6422 0.1329
O 0.9531 0.1919 0.5515
S 0.5105 0.8169 0.2876
S 0.0212 0.2354 0.4342
S 0.5105 0.1831 0.2124
S 0.4895 0.1831 0.7124
S 0.9788 0.7646 0.5658
S 0.0212 0.7646 0.0658
S 0.4895 0.8169 0.7876
S 0.9788 0.2354 0.9342
Rb 0.1476 0.6239 0.3563
Rb 0.1151 0.0000 0.7500
Rb 0.8524 0.3761 0.6437
Rb 0.8524 0.6239 0.8563
Rb 0.6916 0.5000 0.2500
Rb 0.2840 0.0145 0.0491
Rb 0.8849 0.0000 0.2500
Rb 0.3084 0.5000 0.7500
Rb 0.2840 0.9855 0.4509
Rb 0.7160 0.9855 0.9509
Rb 0.7160 0.0145 0.5491
Rb 0.1476 0.3761 0.1437
V 0.6705 0.6742 0.4761
V 0.3295 0.6742 0.9761
V 0.3295 0.3258 0.5239
V 0.6705 0.3258 0.0239

Record 5
! Hg2Mo2O7 (GGA+U, optimized geometry); values from VASP
! * energy relative to the elements: -1.559 eV per atom
! * calculated density: 6.6 g cm⁻³
! * MP2020-corrected energy: -148.2 eV per cell
! * VASP energy: -125.7 eV per cell
&SYSTEM
  ibrav = 0, nat = 22, ntyp = 3
/
ATOMIC_SPECIES
O 16.00 O.upf
Mo 95.94 Mo.upf
Hg 200.59 Hg.upf
CELL_PARAMETERS angstrom
-0.7893 -3.3863 -1.9678
5.1162 0.7840 -3.4014
5.7267 -7.6831 10.9243
ATOMIC_POSITIONS crystal
O 0.9672 0.1959 0.3313
O 0.4715 0.4907 0.3019
O 0.9755 0.8687 0.0718
O 0.9755 0.6313 0.4282
O 0.5285 0.9907 0.8019
O 0.0328 0.6959 0.8313
O 0.0401 0.2500 0.7500
O 0.5285 0.5093 0.6981
O 0.0328 0.8041 0.6687
O 0.9672 0.3041 0.1687
O 0.0245 0.3687 0.5718
O 0.4715 0.0093 0.1981
O 0.0245 0.1313 0.9282
O 0.9599 0.7500 0.2500
Mo 0.9730 0.4975 0.6862
Mo 0.0270 0.9975 0.1862
Mo 0.9730 0.0025 0.8138
Mo 0.0270 0.5025 0.3138
Hg 0.6664 0.0829 0.4370
Hg 0.6664 0.4171 0.0630
Hg 0.3336 0.9171 0.5630
Hg 0.3336 0.5829 0.9370

Record 6
! LiFe4P3O12 (GGA+U, optimized geometry); values from VASP
! * energy relative to the elements: -1.794 eV per atom
! * calculated density: 3.3 g cm⁻³
! * MP2020-corrected energy: -589.1 eV per cell
! * polymorph energy (0 for the lowest one): 517 meV/atom
! * VASP energy: -520.0 eV per cell
&SYSTEM
  ibrav = 0, nat = 80, ntyp = 4
/
ATOMIC_SPECIES
Li 6.94 Li.upf
O 16.00 O.upf
P 30.97 P.upf
Fe 55.84 Fe.upf
CELL_PARAMETERS angstrom
-2.0198 5.3343 2.6358
-1.5612 -4.7934 8.5046
15.4412 3.4778 4.7947
ATOMIC_POSITIONS crystal
Li 0.5000 0.7559 0.0659
Li 0.5000 0.2441 0.9341
Li 0.0000 0.2559 0.4341
Li 0.0000 0.7441 0.5659
O 0.0000 0.6303 0.9765
O 0.8054 0.8969 0.6161
O 0.2974 0.9024 0.1745
O 0.7974 0.4024 0.3255
O 0.0000 0.6172 0.2797
O 0.0000 0.3697 0.0235
O 0.6946 0.6031 0.1161
O 0.6946 0.3969 0.8839
O 0.0000 0.8945 0.3262
O 0.5000 0.6490 0.5472
O 0.1946 0.1031 0.3839
O 0.8054 0.1031 0.3839
O 0.8020 0.1693 0.0873
O 0.5000 0.9026 0.3037
O 0.2026 0.4024 0.3255
O 0.5000 0.6055 0.8262
O 0.3020 0.6693 0.4127
O 0.7974 0.5976 0.6745
O 0.1980 0.1693 0.0873
O 0.5000 0.6178 0.2512
O 0.0000 0.1490 0.9528
O 0.7026 0.9024 0.1745
O 0.0000 0.1178 0.2488
O 0.3054 0.6031 0.1161
O 0.0000 0.1055 0.6738
O 0.0000 0.4026 0.1963
O 0.0000 0.8510 0.0472
O 0.5000 0.3822 0.7488
O 0.0000 0.5974 0.8037
O 0.2026 0.5976 0.6745
O 0.6980 0.6693 0.4127
O 0.7026 0.0976 0.8255
O 0.2974 0.0976 0.8255
O 0.5000 0.1303 0.5235
O 0.5000 0.1172 0.2203
O 0.3054 0.3969 0.8839
O 0.6980 0.3307 0.5873
O 0.5000 0.8828 0.7797
O 0.3020 0.3307 0.5873
O 0.5000 0.0974 0.6963
O 0.8020 0.8307 0.9127
O 0.1946 0.8969 0.6161
O 0.0000 0.8822 0.7512
O 0.0000 0.3829 0.7203
O 0.1980 0.8307 0.9127
O 0.5000 0.3945 0.1738
O 0.5000 0.3510 0.4528
O 0.5000 0.8697 0.4765
P 0.0000 0.5395 0.7140
P 0.5000 0.4497 0.8365
P 0.5000 0.7144 0.4641
P 0.0000 0.0503 0.3365
P 0.5000 0.2856 0.5359
P 0.5000 0.5503 0.1635
P 0.0000 0.7856 0.9641
P 0.5000 0.9605 0.2140
P 0.0000 0.9497 0.6635
P 0.0000 0.2144 0.0359
P 0.5000 0.0395 0.7860
P 0.0000 0.4605 0.2860
Fe 0.0000 0.0129 0.8646
Fe 0.2484 0.7536 0.2996
Fe 0.2516 0.2536 0.2004
Fe 0.7484 0.2536 0.2004
Fe 0.0000 0.5437 0.0934
Fe 0.7516 0.7536 0.2996
Fe 0.5000 0.4871 0.3646
Fe 0.5000 0.5129 0.6354
Fe 0.2516 0.7464 0.7996
Fe 0.2484 0.2464 0.7004
Fe 0.5000 0.0437 0.4066
Fe 0.7516 0.2464 0.7004
Fe 0.5000 0.9563 0.5934
Fe 0.0000 0.4563 0.9066
Fe 0.0000 0.9871 0.1354
Fe 0.7484 0.7464 0.7996